1.
Below is a relaxed structure of CsSr2I5, with properties calculated at the r2SCAN level.

Structure (POSCAR):
```
CsSr2I5
1.0
10.334 0.000 0.000
0.000 9.234 0.000
-0.095 0.000 14.526
Cs Sr I
4 8 20
direct
0.007 0.056 0.333
0.007 0.444 0.833
0.993 0.556 0.167
0.993 0.944 0.667
0.254 0.571 0.493
0.254 0.929 0.993
0.496 0.525 0.180
0.496 0.975 0.680
0.504 0.025 0.320
0.504 0.475 0.820
0.746 0.071 0.007
0.746 0.429 0.507
0.037 0.175 0.076
0.037 0.325 0.576
0.279 0.688 0.715
0.279 0.812 0.215
0.286 0.162 0.817
0.286 0.338 0.317
0.292 0.546 0.996
0.292 0.954 0.496
0.458 0.160 0.099
0.458 0.340 0.599
0.542 0.660 0.401
0.542 0.840 0.901
0.708 0.046 0.504
0.708 0.454 0.004
0.714 0.662 0.683
0.714 0.838 0.183
0.721 0.188 0.785
0.721 0.312 0.285
0.963 0.675 0.424
0.963 0.825 0.924
```

Properties
* size of the total moment: 0.000 μB/atom
* symmetry: P2_1/c
* DFT formation energy: -44.1 kcal/mol of atoms

2.
Below is a relaxed structure of CsTaI6, with properties calculated at the r2SCAN level.

Structure (POSCAR):
```
CsTaI6
1.0
6.920 -3.635 0.000
6.920 3.635 0.000
-2.845 0.000 13.777
Cs Ta I
2 2 12
direct
0.087 0.913 0.750
0.913 0.087 0.250
0.000 0.500 0.000
0.500 0.000 0.500
0.088 0.212 0.535
0.196 0.378 0.832
0.212 0.088 0.035
0.322 0.526 0.104
0.378 0.196 0.332
0.474 0.678 0.396
0.526 0.322 0.604
0.622 0.804 0.668
0.678 0.474 0.896
0.788 0.912 0.965
0.804 0.622 0.168
0.912 0.788 0.465
```

Properties
* size of the total moment: 0.000 μB/atom
* symmetry: C2/c
* DFT formation energy: -20.4 kcal/mol of atoms

3.
Below is a relaxed structure of Cs2TcI6, with properties calculated at the r2SCAN level.

Structure (POSCAR):
```
Cs2TcI6
1.0
0.000 5.826 5.826
5.826 0.000 5.826
5.826 5.826 0.000
Cs Tc I
2 1 6
direct
0.250 0.250 0.250
0.750 0.750 0.750
0.000 0.000 0.000
0.236 0.236 0.764
0.236 0.764 0.236
0.236 0.764 0.764
0.764 0.236 0.236
0.764 0.236 0.764
0.764 0.764 0.236
```

Properties
* size of the total moment: 0.333 μB/atom
* symmetry: Fm-3m
* DFT formation energy: -23.0 kcal/mol of atoms

4.
Below is a relaxed structure of Cs3Zr2I9, with properties calculated at the r2SCAN level.

Structure (POSCAR):
```
Cs3Zr2I9
1.0
8.445 0.000 0.000
-4.223 7.314 0.000
0.000 0.000 20.291
Cs Zr I
6 4 18
direct
0.000 0.000 0.250
0.000 0.000 0.750
0.333 0.667 0.067
0.333 0.667 0.433
0.667 0.333 0.567
0.667 0.333 0.933
0.333 0.667 0.672
0.333 0.667 0.828
0.667 0.333 0.172
0.667 0.333 0.328
0.006 0.503 0.250
0.170 0.340 0.590
0.170 0.340 0.910
0.170 0.830 0.590
0.170 0.830 0.910
0.340 0.170 0.090
0.340 0.170 0.410
0.497 0.503 0.250
0.497 0.994 0.250
0.503 0.006 0.750
0.503 0.497 0.750
0.660 0.830 0.590
0.660 0.830 0.910
0.830 0.170 0.090
0.830 0.170 0.410
0.830 0.660 0.090
0.830 0.660 0.410
0.994 0.497 0.750
```

Properties
* size of the total moment: 0.000 μB/atom
* symmetry: P6_3/mmc
* DFT formation energy: -33.0 kcal/mol of atoms

5.
Below is a relaxed structure of CsIn3, with properties calculated at the r2SCAN level.

Structure (POSCAR):
```
CsIn3
1.0
-3.572 3.572 8.458
3.572 -3.572 8.458
3.572 3.572 -8.458
Cs In
3 9
direct
0.000 0.000 0.000
0.627 0.127 0.500
0.873 0.373 0.500
0.221 0.014 0.793
0.221 0.428 0.207
0.306 0.609 0.697
0.391 0.088 0.697
0.391 0.694 0.303
0.500 0.500 0.000
0.572 0.779 0.793
0.912 0.609 0.303
0.986 0.779 0.207
```

Properties
* size of the total moment: 0.000 μB/atom
* symmetry: I-4m2
* DFT formation energy: -6.5 kcal/mol of atoms

6.
Below is a relaxed structure of Cs2In3, with properties calculated at the r2SCAN level.

Structure (POSCAR):
```
Cs2In3
1.0
-3.485 3.485 8.393
3.485 -3.485 8.393
3.485 3.485 -8.393
Cs In
4 6
direct
0.000 0.000 0.000
0.500 0.500 0.000
0.638 0.138 0.500
0.862 0.362 0.500
0.111 0.611 0.500
0.253 0.049 0.795
0.253 0.458 0.205
0.389 0.889 0.500
0.542 0.747 0.795
0.951 0.747 0.205
```

Properties
* size of the total moment: 0.000 μB/atom
* symmetry: I-4m2
* DFT formation energy: -6.8 kcal/mol of atoms

7.
Below is a relaxed structure of Cs2In3, with properties calculated at the r2SCAN level.

Structure (POSCAR):
```
Cs2In3
1.0
-3.492 3.492 8.387
3.492 -3.492 8.387
3.492 3.492 -8.387
Cs In
4 6
direct
0.000 0.000 0.000
0.500 0.500 0.000
0.638 0.138 0.500
0.862 0.362 0.500
0.111 0.611 0.500
0.251 0.045 0.794
0.251 0.456 0.206
0.389 0.889 0.500
0.544 0.749 0.794
0.955 0.749 0.206
```

Properties
* size of the total moment: 0.000 μB/atom
* symmetry: I-4m2
* DFT formation energy: -6.9 kcal/mol of atoms

8.
Below is a relaxed structure of CsMnInTe3, with properties calculated at the r2SCAN level.

Structure (POSCAR):
```
CsMnInTe3
1.0
6.276 -6.277 0.000
6.276 6.277 0.000
-3.138 0.000 24.320
Cs Mn In Te
8 8 8 24
direct
0.105 0.730 0.920
0.270 0.395 0.580
0.270 0.895 0.580
0.395 0.270 0.080
0.605 0.730 0.920
0.730 0.105 0.420
0.730 0.605 0.420
0.895 0.270 0.080
0.061 0.436 0.750
0.061 0.939 0.750
0.436 0.061 0.250
0.437 0.563 0.250
0.563 0.437 0.750
0.564 0.939 0.750
0.939 0.061 0.250
0.939 0.564 0.250
0.156 0.781 0.124
0.219 0.344 0.376
0.219 0.844 0.376
0.344 0.219 0.876
0.656 0.781 0.124
0.781 0.156 0.624
0.781 0.656 0.624
0.844 0.219 0.876
0.064 0.671 0.685
0.065 0.171 0.684
0.111 0.237 0.947
0.171 0.065 0.184
0.171 0.528 0.185
0.237 0.111 0.447
0.237 0.612 0.447
0.328 0.471 0.815
0.329 0.936 0.815
0.388 0.763 0.053
0.471 0.328 0.315
0.472 0.829 0.315
0.528 0.171 0.685
0.529 0.672 0.685
0.612 0.237 0.947
0.671 0.064 0.185
0.672 0.529 0.185
0.763 0.388 0.553
0.763 0.889 0.553
0.829 0.472 0.815
0.829 0.935 0.816
0.889 0.763 0.053
0.935 0.829 0.316
0.936 0.329 0.315
```

Properties
* size of the total moment: 0.000 μB/atom
* symmetry: C2/c
* DFT formation energy: -19.6 kcal/mol of atoms

9.
Below is a relaxed structure of Cs8In2O7, with properties calculated at the r2SCAN level.

Structure (POSCAR):
```
Cs8In2O7
1.0
7.491 0.000 0.000
0.000 18.858 0.000
-3.531 0.000 6.401
Cs In O
16 4 14
direct
0.140 0.085 0.493
0.140 0.415 0.993
0.262 0.707 0.542
0.262 0.793 0.042
0.267 0.504 0.534
0.267 0.996 0.034
0.281 0.193 0.047
0.281 0.307 0.547
0.719 0.693 0.453
0.719 0.807 0.953
0.733 0.004 0.966
0.733 0.496 0.466
0.738 0.207 0.958
0.738 0.293 0.458
0.860 0.585 0.007
0.860 0.915 0.507
0.354 0.598 0.999
0.354 0.902 0.499
0.646 0.098 0.501
0.646 0.402 0.001
0.071 0.598 0.734
0.071 0.902 0.234
0.343 0.606 0.277
0.343 0.894 0.777
0.458 0.178 0.512
0.458 0.322 0.012
0.500 0.000 0.500
0.500 0.500 0.000
0.542 0.678 0.988
0.542 0.822 0.488
0.657 0.106 0.223
0.657 0.394 0.723
0.929 0.098 0.766
0.929 0.402 0.266
```

Properties
* size of the total moment: 0.000 μB/atom
* symmetry: P2_1/c
* DFT formation energy: -33.7 kcal/mol of atoms

10.
Below is a relaxed structure of Cs3InO3, with properties calculated at the r2SCAN level.

Structure (POSCAR):
```
Cs3InO3
1.0
8.208 0.000 0.000
0.000 7.352 0.000
-1.124 0.000 11.781
Cs In O
12 4 12
direct
0.048 0.123 0.156
0.048 0.377 0.656
0.349 0.168 0.928
0.349 0.332 0.428
0.374 0.679 0.806
0.374 0.821 0.306
0.626 0.179 0.694
0.626 0.321 0.194
0.651 0.668 0.572
0.651 0.832 0.072
0.952 0.623 0.344
0.952 0.877 0.844
0.156 0.584 0.067
0.156 0.916 0.567
0.844 0.084 0.433
0.844 0.416 0.933
0.099 0.053 0.409
0.099 0.447 0.909
0.246 0.661 0.540
0.246 0.839 0.040
0.292 0.057 0.692
0.292 0.443 0.192
0.708 0.557 0.808
0.708 0.943 0.308
0.754 0.161 0.960
0.754 0.339 0.460
0.901 0.553 0.091
0.901 0.947 0.591
```

Properties
* size of the total moment: 0.000 μB/atom
* symmetry: P2_1/c
* DFT formation energy: -35.2 kcal/mol of atoms

11.
Below is a relaxed structure of Cs3InP2, with properties calculated at the r2SCAN level.

Structure (POSCAR):
```
Cs3InP2
1.0
9.761 0.000 0.000
4.329 12.254 0.000
2.387 1.791 15.699
Cs In P
24 8 16
direct
0.024 0.134 0.459
0.038 0.148 0.914
0.088 0.516 0.189
0.095 0.166 0.180
0.230 0.271 0.645
0.261 0.831 0.265
0.279 0.808 0.884
0.286 0.537 0.752
0.352 0.266 0.325
0.387 0.667 0.516
0.437 0.601 0.085
0.457 0.015 0.799
0.543 0.985 0.201
0.563 0.399 0.915
0.613 0.333 0.484
0.648 0.734 0.675
0.714 0.463 0.248
0.721 0.192 0.116
0.739 0.169 0.735
0.770 0.729 0.355
0.905 0.834 0.820
0.912 0.484 0.811
0.962 0.852 0.086
0.976 0.866 0.541
0.140 0.523 0.438
0.164 0.394 0.987
0.364 0.986 0.573
0.417 0.144 0.991
0.583 0.856 0.009
0.636 0.014 0.427
0.836 0.606 0.013
0.860 0.477 0.562
0.035 0.579 0.586
0.107 0.609 0.961
0.158 0.982 0.679
0.301 0.281 0.859
0.309 0.976 0.039
0.349 0.543 0.341
0.356 0.292 0.098
0.411 0.951 0.417
0.589 0.049 0.583
0.644 0.708 0.902
0.651 0.457 0.659
0.691 0.024 0.961
0.699 0.719 0.141
0.842 0.018 0.321
0.893 0.391 0.039
0.965 0.421 0.414
```

Properties
* size of the total moment: 0.000 μB/atom
* symmetry: P-1
* DFT formation energy: -11.3 kcal/mol of atoms

12.
Below is a relaxed structure of CsInSe2, with properties calculated at the r2SCAN level.

Structure (POSCAR):
```
CsInSe2
1.0
5.861 -5.861 0.000
5.861 5.861 0.000
-2.942 0.000 16.945
Cs In Se
8 8 16
direct
0.151 0.776 0.605
0.223 0.348 0.891
0.224 0.849 0.895
0.348 0.223 0.391
0.652 0.777 0.609
0.776 0.151 0.105
0.777 0.652 0.109
0.849 0.224 0.395
0.085 0.709 0.334
0.291 0.915 0.166
0.292 0.418 0.167
0.418 0.292 0.667
0.582 0.708 0.333
0.708 0.582 0.833
0.709 0.085 0.834
0.915 0.291 0.666
0.051 0.426 0.250
0.052 0.948 0.250
0.143 0.267 0.573
0.267 0.143 0.073
0.268 0.642 0.072
0.358 0.732 0.428
0.426 0.051 0.750
0.426 0.574 0.750
0.574 0.426 0.250
0.574 0.949 0.250
0.642 0.268 0.572
0.732 0.358 0.928
0.733 0.857 0.927
0.857 0.733 0.427
0.948 0.052 0.750
0.949 0.574 0.750
```

Properties
* size of the total moment: 0.000 μB/atom
* symmetry: C2/c
* DFT formation energy: -26.6 kcal/mol of atoms

13.
Below is a relaxed structure of CsInTe2, with properties calculated at the r2SCAN level.

Structure (POSCAR):
```
CsInTe2
1.0
6.290 -6.285 0.000
6.290 6.285 0.000
-3.129 0.000 18.042
Cs In Te
8 8 16
direct
0.151 0.777 0.604
0.221 0.347 0.887
0.223 0.849 0.896
0.347 0.221 0.387
0.653 0.779 0.613
0.777 0.151 0.104
0.779 0.653 0.113
0.849 0.223 0.396
0.085 0.709 0.335
0.291 0.418 0.167
0.291 0.915 0.165
0.418 0.291 0.667
0.582 0.709 0.333
0.709 0.085 0.835
0.709 0.582 0.833
0.915 0.291 0.665
0.049 0.424 0.251
0.049 0.951 0.250
0.144 0.266 0.570
0.266 0.144 0.070
0.266 0.641 0.070
0.359 0.734 0.430
0.424 0.049 0.751
0.424 0.576 0.750
0.576 0.424 0.250
0.576 0.951 0.249
0.641 0.266 0.570
0.734 0.359 0.930
0.734 0.856 0.930
0.856 0.734 0.430
0.951 0.049 0.750
0.951 0.576 0.749
```

Properties
* size of the total moment: 0.000 μB/atom
* symmetry: C2/c
* DFT formation energy: -21.5 kcal/mol of atoms